(1)
DFT (PBE) results for a geometry-optimized MgIn2Se4 structure.

abc: 8.103 8.103 8.103
angles: 60.00 60.00 60.00
Element x y z (fractional)
Mg 0.500 0.500 0.500
Mg 0.750 0.750 0.750
In 0.125 0.125 0.625
In 0.125 0.625 0.125
In 0.625 0.125 0.125
In 0.125 0.125 0.125
Se 0.882 0.882 0.882
Se 0.353 0.882 0.882
Se 0.882 0.353 0.882
Se 0.882 0.882 0.353
Se 0.368 0.897 0.368
Se 0.368 0.368 0.897
Se 0.897 0.368 0.368
Se 0.368 0.368 0.368

Calculated values
* SG: Fd-3m, No. 227
* crystal system: cubic
* total energy: -3.716 eV per atom

---

(2)
DFT (PBE) results for a geometry-optimized MgIn2Se4 structure.

abc: 7.170 8.299 13.694
angles: 99.00 95.12 89.61
Element x y z (fractional)
Mg 0.248 0.375 0.001
Mg 0.133 0.199 0.298
Mg 0.752 0.625 0.999
Mg 0.867 0.801 0.702
In 0.242 0.876 0.000
In 0.138 0.700 0.297
In 0.631 0.446 0.297
In 0.758 0.124 0.000
In 0.862 0.300 0.703
In 0.630 0.953 0.299
In 0.370 0.047 0.701
In 0.369 0.554 0.703
Se 0.186 0.280 0.619
Se 0.104 0.155 0.107
Se 0.184 0.780 0.620
Se 0.099 0.648 0.105
Se 0.896 0.845 0.893
Se 0.688 0.532 0.620
Se 0.814 0.720 0.381
Se 0.600 0.404 0.103
Se 0.901 0.352 0.895
Se 0.689 0.028 0.620
Se 0.816 0.220 0.380
Se 0.601 0.898 0.105
Se 0.399 0.102 0.895
Se 0.311 0.972 0.380
Se 0.400 0.596 0.897
Se 0.312 0.468 0.380

Calculated values
* SG: P-1, No. 2
* crystal system: triclinic
* total energy: -3.752 eV per atom